# GGA-PBE Te2Mo3WSe4S2, relaxed
# - Uncorrected energy: -6.72 eV per atom
# - Excess energy over the best structure of this formula in the dataset: 0.0154 eV per atom
# - E_form: -637 meV/atom
data_Te2Mo3WSe4S2
_chemical_formula_sum 'Te2 Mo3 W1 Se4 S2'
_cell_length_a 3.3425
_cell_length_b 3.3425
_cell_length_c 39.9295
_cell_angle_alpha 90.00
_cell_angle_beta 90.00
_cell_angle_gamma 120.00
_space_group_name_H-M_alt 'P 3 m 1'
_space_group_IT_number 156
loop_
_space_group_symop_operation_xyz
'x,y,z'
'-y,x-y,z'
'-x+y,-x,z'
'-y,-x,z'
'-x+y,y,z'
'x,x-y,z'
loop_
_atom_site_label
_atom_site_type_symbol
_atom_site_fract_x
_atom_site_fract_y
_atom_site_fract_z
Te1 Te 0.0000 0.0000 0.0000
Te2 Te 0.0000 0.0000 0.0950
Mo1 Mo 0.0000 0.0000 0.8589
Mo2 Mo 0.6667 0.3333 0.0475
Mo3 Mo 0.6667 0.3333 0.6719
W1 W 0.0000 0.0000 0.2366
Se1 Se 0.6667 0.3333 0.1947
Se2 Se 0.6667 0.3333 0.2785
Se3 Se 0.6667 0.3333 0.8170
Se4 Se 0.6667 0.3333 0.9006
S1 S 0.0000 0.0000 0.6339
S2 S 0.0000 0.0000 0.7099